Model one:
Yb2AgPd: optimized geometry, meta-GGA r2SCAN.

Geometry as POSCAR:
```
Yb2AgPd
1.0
3.4886 0.0000 0.0000
0.0000 3.4886 0.0000
0.0000 0.0000 6.9600
Yb Ag Pd
2 1 1
direct
0.0000 0.0000 0.2393
0.0000 0.0000 0.7607
0.5000 0.5000 0.5000
0.5000 0.5000 0.0000
```

Results
**Symmetry**: P4/mmm, No. 123
**M_tot**: 0.0 μB per cell

---

Model two:
Yb2AgPd: optimized geometry, meta-GGA r2SCAN.

Geometry as POSCAR:
```
Yb2AgPd
1.0
6.9556 0.0000 0.0000
0.0000 6.9556 0.0000
0.0000 0.0000 6.9556
Yb Ag Pd
8 4 4
direct
0.2500 0.2500 0.2500
0.2500 0.2500 0.7500
0.2500 0.7500 0.2500
0.2500 0.7500 0.7500
0.7500 0.2500 0.2500
0.7500 0.2500 0.7500
0.7500 0.7500 0.2500
0.7500 0.7500 0.7500
0.0000 0.0000 0.0000
0.0000 0.5000 0.5000
0.5000 0.0000 0.5000
0.5000 0.5000 0.0000
0.0000 0.0000 0.5000
0.0000 0.5000 0.0000
0.5000 0.0000 0.0000
0.5000 0.5000 0.5000
```

Results
**Symmetry**: Fm-3m, No. 225
**M_tot**: 0.0 μB per cell

---

Of them, model two has the lowest stability.